Here is crystalline TbGePd at its relaxed geometry from Materials Project. Energies are from PBE.

Structure (POSCAR):
```
TbGePd
1.0
5.218 -2.201 0.000
5.218 2.201 0.000
-4.734 0.000 5.239
Tb Ge Pd
2 2 2
Cartesian
-0.990 0.000 1.582
6.691 0.000 3.657
-0.678 0.000 4.676
6.379 0.000 0.563
2.062 0.000 1.428
3.639 0.000 3.811
```

Output
Calculated formation energy: -906 meV/atom
E: -5.718 eV/atom
ρ: 9.33 g/cm³
Crystal system: monoclinic
Space group: C2/m (12)